Crystalline NaVF3 at its relaxed geometry. Source: Materials Project, functional PBE with a Hubbard U.

Cell and atoms, written as CIF:
```
data_NaVF3
_cell_length_a 4.168
_cell_length_b 4.168
_cell_length_c 4.168
_cell_angle_alpha 90.00
_cell_angle_beta 90.00
_cell_angle_gamma 90.00
_space_group_name_H-M_alt 'P m -3 m'
_space_group_IT_number 221
_space_group_name_Hall '-P 4 2 3'
loop_
_atom_site_label
_atom_site_type_symbol
_atom_site_fract_x
_atom_site_fract_y
_atom_site_fract_z
Na1 Na 0.000 0.000 0.000
V1 V 0.500 0.500 0.500
F1 F 0.000 0.500 0.500
```

Output
- Size of the total moment: 3.0 Bohr magnetons per cell
- E (MP2020): -6.133 eV per atom
- Energy relative to the elements: -2.903 eV/atom